# 1
Nd2CuTe2S2O14: optimized geometry, meta-GGA r2SCAN.

- crystal system = triclinic
- energy (eV per atom) = -12.4830
- density (g/cm3) = 5.06
- formation energy (meV/atom) = -1997
- space-group type = No. 2

abc: 5.2201 8.0058 8.2989
angles: 61.81 74.14 85.34
Element x y z (fractional)
Nd (0.9335, 0.7505, 0.9811)
Nd (0.0665, 0.2495, 0.0189)
Cu (0.0000, 0.0000, 0.5000)
Te (0.4946, 0.7334, 0.6455)
Te (0.5054, 0.2666, 0.3545)
S (0.2559, 0.7443, 0.2579)
S (0.7441, 0.2557, 0.7421)
O (0.1560, 0.5833, 0.2472)
O (0.8440, 0.4167, 0.7528)
O (0.1345, 0.7443, 0.4379)
O (0.8655, 0.2557, 0.5621)
O (0.5471, 0.7424, 0.2242)
O (0.4529, 0.2576, 0.7758)
O (0.1799, 0.9161, 0.0997)
O (0.8201, 0.0839, 0.9003)
O (0.2660, 0.5633, 0.8807)
O (0.7340, 0.4367, 0.1193)
O (0.7297, 0.8150, 0.7347)
O (0.2703, 0.1850, 0.2653)
O (0.2565, 0.9286, 0.6495)
O (0.7435, 0.0714, 0.3505)

# 2
NdCu3Pd2: optimized geometry, meta-GGA r2SCAN.

- crystal system = orthorhombic
- energy (eV per atom) = -18.3739
- density (g/cm3) = 9.35
- formation energy (meV/atom) = -394
- space-group type = No. 44

abc: 5.1617 5.1617 5.1617
angles: 123.05 116.29 90.67
Element x y z (fractional)
Nd (0.0027, 0.0027, 0.0000)
Cu (0.6157, 0.3651, 0.7494)
Cu (0.6157, 0.8664, 0.2506)
Cu (0.2794, 0.7794, 0.5000)
Pd (0.6150, 0.3682, 0.2468)
Pd (0.1214, 0.3682, 0.7532)